A plane-wave DFT calculation with PBE was carried out for a relaxed structure of Na9Mg4Ta8Si3P15O72.

Formation enthalpy at 0 K: -2.958 eV per atom
Spin magnetization: 0.00 μB/f.u.
E_tot: -0.5600 Ry per atom
Mass density: 3.8 Mg/m³
Volume: 13.68 A^3/atom
Symmetry: P1, No. 1

Lattice parameters (Å, degrees): 8.8005 8.8020 22.6332 89.86 89.95 60.04
Last column: nearest neighbours and their distance in Å.
Positions (direct):
Na1 0.0000 0.0000 0.0000  4 O 2.42-2.66
Na2 0.0057 0.9873 0.4987  3 O 2.34-2.55
Na3 0.0177 0.3554 0.2487  4 O 2.32-2.43
Na4 0.0323 0.2877 0.5817  4 O 2.26-2.45
Na5 0.3321 0.3322 0.6685  3 O 2.40-2.46
Na6 0.3468 0.3321 0.1676  3 O 2.39-2.50
Na7 0.6287 0.3566 0.7489  5 O 2.33-2.57
Na8 0.6621 0.6710 0.3276  6 O 2.59-2.64
Na9 0.6688 0.6717 0.8274  6 O 2.55-2.66
Mg1 0.9997 0.9989 0.1378  6 O 1.99-2.13
Mg2 0.0039 0.9922 0.6382  6 O 1.98-2.17
Mg3 0.3301 0.3334 0.8073  6 O 2.03-2.14
Mg4 0.3368 0.3343 0.3067  6 O 2.02-2.13
Ta1 0.0019 0.9983 0.8466  6 O 1.95-2.04
Ta2 0.0027 0.9990 0.3460  6 O 1.94-2.05
Ta3 0.3365 0.3278 0.5120  6 O 1.91-2.08
Ta4 0.3388 0.3299 0.0132  6 O 1.90-2.06
Ta5 0.6638 0.6743 0.6817  6 O 1.89-2.07
Ta6 0.6653 0.6670 0.4707  6 O 1.91-1.99
Ta7 0.6650 0.6682 0.1813  6 O 1.98-2.02
Ta8 0.6688 0.6624 0.9713  6 O 1.91-1.99
Si1 0.0459 0.3318 0.4050  4 O 1.57-1.68
Si2 0.3728 0.9565 0.5753  4 O 1.58-1.67
Si3 0.6233 0.3304 0.9048  4 O 1.57-1.67
P1 0.0064 0.7097 0.2392  4 O 1.50-1.63
P2 0.0077 0.2864 0.7391  4 O 1.50-1.61
P3 0.0490 0.6183 0.9081  4 O 1.49-1.57
P4 0.2864 0.7079 0.7401  4 O 1.49-1.63
P5 0.2885 0.0005 0.2397  4 O 1.50-1.60
P6 0.3339 0.6187 0.4072  4 O 1.49-1.57
P7 0.3350 0.0455 0.9081  4 O 1.49-1.57
P8 0.3769 0.6674 0.0756  4 O 1.49-1.57
P9 0.6228 0.0448 0.4067  4 O 1.48-1.58
P10 0.6631 0.3798 0.5768  4 O 1.51-1.57
P11 0.6691 0.9540 0.0753  4 O 1.49-1.58
P12 0.7087 0.2836 0.2394  4 O 1.49-1.63
P13 0.7138 0.0003 0.7406  4 O 1.50-1.60
P14 0.9549 0.6686 0.5752  4 O 1.49-1.58
P15 0.9577 0.3749 0.0764  4 O 1.50-1.57
O1 0.0212 0.1896 0.6824  1 P 1.51
O2 0.0228 0.7979 0.1850  1 P 1.50
O3 0.0248 0.1545 0.4017  1 Si 1.66
O4 0.0321 0.8033 0.9030  1 P 1.56
O5 0.1158 0.3672 0.3456  1 Si 1.57
O6 0.1167 0.5101 0.8537  1 P 1.49
O7 0.1364 0.4950 0.5683  1 P 1.57
O8 0.1374 0.3679 0.0685  1 P 1.56
O9 0.1549 0.5221 0.2459  1 P 1.52
O10 0.1604 0.3146 0.7487  1 P 1.50
O11 0.1628 0.5291 0.9646  1 P 1.57
O12 0.1664 0.8043 0.4024  1 P 1.56
O13 0.1669 0.3045 0.4659  1 Si 1.68
O14 0.1721 0.0198 0.9025  1 P 1.56
O15 0.1754 0.0283 0.1865  1 P 1.50
O16 0.1779 0.9921 0.5768  1 Si 1.58
O17 0.1833 0.7958 0.6857  1 P 1.49
O18 0.1996 0.8277 0.0785  1 P 1.49
O19 0.2015 0.9681 0.2970  1 P 1.60
O20 0.2027 0.8230 0.7972  1 P 1.58
O21 0.3039 0.1610 0.9646  1 P 1.57
O22 0.3095 0.5315 0.4642  1 P 1.57
O23 0.3165 0.1552 0.2485  1 P 1.51
O24 0.3237 0.5205 0.7463  1 P 1.52
O25 0.3652 0.1493 0.5693  1 Si 1.67
O26 0.3684 0.4942 0.0685  1 P 1.57
O27 0.3705 0.1179 0.8536  1 P 1.49
O28 0.3715 0.5106 0.3531  1 P 1.49
O29 0.4737 0.8253 0.2351  1 P 1.59
O30 0.4784 0.6798 0.0212  1 P 1.56
O31 0.4788 0.6913 0.7363  1 P 1.63
O32 0.4807 0.8359 0.5192  1 Si 1.62
O33 0.4922 0.3731 0.5686  1 P 1.55
O34 0.4920 0.6500 0.4189  1 P 1.57
O35 0.4933 0.1349 0.0692  1 P 1.58
O36 0.4954 0.8587 0.9209  1 P 1.57
O37 0.4976 0.6372 0.1306  1 P 1.57
O38 0.5035 0.8593 0.6330  1 Si 1.67
O39 0.5137 0.1190 0.3529  1 P 1.48
O40 0.5190 0.3692 0.8450  1 Si 1.57
O41 0.5256 0.3040 0.9643  1 Si 1.67
O42 0.5266 0.3166 0.2489  1 P 1.49
O43 0.5305 0.1548 0.7488  1 P 1.52
O44 0.5370 0.1604 0.4637  1 P 1.58
O45 0.6389 0.4928 0.6333  1 P 1.57
O46 0.6404 0.8622 0.1306  1 P 1.58
O47 0.6500 0.8577 0.4188  1 P 1.57
O48 0.6549 0.4969 0.9203  1 Si 1.66
O49 0.6812 0.8427 0.0209  1 P 1.54
O50 0.6880 0.4751 0.5227  1 P 1.56
O51 0.7046 0.4700 0.2354  1 P 1.63
O52 0.7065 0.8233 0.7369  1 P 1.59
O53 0.7981 0.0281 0.6870  1 P 1.50
O54 0.7977 0.1809 0.1849  1 P 1.50
O55 0.8105 0.0206 0.4022  1 P 1.56
O56 0.8225 0.1555 0.9019  1 Si 1.66
O57 0.8252 0.2014 0.5800  1 P 1.51
O58 0.8266 0.4699 0.7372  1 P 1.61
O59 0.8270 0.9752 0.0788  1 P 1.49
O60 0.8300 0.6937 0.2345  1 P 1.63
O61 0.8323 0.9700 0.7976  1 P 1.60
O62 0.8334 0.1979 0.2961  1 P 1.61
O63 0.8415 0.4792 0.0225  1 P 1.56
O64 0.8438 0.6799 0.5205  1 P 1.55
O65 0.8485 0.4972 0.4196  1 Si 1.65
O66 0.8591 0.6528 0.9210  1 P 1.57
O67 0.8689 0.4915 0.1325  1 P 1.57
O68 0.8708 0.6284 0.6303  1 P 1.58
O69 0.9691 0.8300 0.5791  1 P 1.49
O70 0.9744 0.1924 0.7946  1 P 1.61
O71 0.9738 0.1976 0.0786  1 P 1.50
O72 0.9739 0.8250 0.2965  1 P 1.58